Computed, not measured: a relaxed BaHgPb crystal at the r²SCAN level of DFT.

Output
* E_form: -0.595 eV/atom
* total moment: 0.0 μB/cell

CIF file:
```
data_BaHgPb
_cell_length_a 6.6938
_cell_length_b 6.6938
_cell_length_c 8.5852
_cell_angle_alpha 129.50
_cell_angle_beta 129.50
_cell_angle_gamma 46.98
_space_group_name_H-M_alt 'P 1'
_space_group_IT_number 1
loop_
_space_group_symop_operation_xyz
'x,y,z'
loop_
_atom_site_label
_atom_site_fract_x
_atom_site_fract_y
_atom_site_fract_z
Ba1 0.0426 0.0426 0.2970
Ba2 0.9574 0.9574 0.7030
Hg1 0.3394 0.3394 0.2910
Hg2 0.6606 0.6606 0.7090
Pb1 0.3376 0.3376 0.9070
Pb2 0.6624 0.6624 0.0930
```

Computed, not measured: a relaxed Ba2HgS3 crystal at the r²SCAN level of DFT.

Output
* E_form: -1.656 eV/atom
* total moment: 0.0 μB/cell

CIF file:
```
data_Ba2HgS3
_cell_length_a 9.0236
_cell_length_b 4.3930
_cell_length_c 17.4697
_cell_angle_alpha 90.00
_cell_angle_beta 90.00
_cell_angle_gamma 90.00
_space_group_name_H-M_alt 'P 1'
_space_group_IT_number 1
loop_
_space_group_symop_operation_xyz
'x,y,z'
loop_
_atom_site_label
_atom_site_fract_x
_atom_site_fract_y
_atom_site_fract_z
Ba1 0.0782 0.2500 0.2155
Ba2 0.2404 0.2500 0.9603
Ba3 0.2596 0.7500 0.4603
Ba4 0.4218 0.7500 0.7155
Ba5 0.5782 0.2500 0.2845
Ba6 0.7404 0.2500 0.5397
Ba7 0.7596 0.7500 0.0397
Ba8 0.9218 0.7500 0.7845
Hg1 0.1239 0.2500 0.6330
Hg2 0.3761 0.7500 0.1330
Hg3 0.6239 0.2500 0.8670
Hg4 0.8761 0.7500 0.3670
S1 0.0150 0.2500 0.4038
S2 0.1178 0.7500 0.0723
S3 0.1858 0.2500 0.7773
S4 0.3142 0.7500 0.2773
S5 0.3822 0.2500 0.5723
S6 0.4850 0.7500 0.9038
S7 0.5150 0.2500 0.0962
S8 0.6178 0.7500 0.4277
S9 0.6858 0.2500 0.7227
S10 0.8142 0.7500 0.2227
S11 0.8822 0.2500 0.9277
S12 0.9850 0.7500 0.5962
```

Computed, not measured: a relaxed Ba2SnHg crystal at the r²SCAN level of DFT.

Output
* E_form: -0.697 eV/atom
* total moment: 0.0 μB/cell

CIF file:
```
data_Ba2SnHg
_cell_length_a 5.9971
_cell_length_b 5.9971
_cell_length_c 5.9971
_cell_angle_alpha 60.00
_cell_angle_beta 60.00
_cell_angle_gamma 60.00
_space_group_name_H-M_alt 'P 1'
_space_group_IT_number 1
loop_
_space_group_symop_operation_xyz
'x,y,z'
loop_
_atom_site_label
_atom_site_fract_x
_atom_site_fract_y
_atom_site_fract_z
Ba1 0.2500 0.2500 0.2500
Ba2 0.7500 0.7500 0.7500
Sn1 0.0000 0.0000 0.0000
Hg1 0.5000 0.5000 0.5000
```

Question: Among the records above, which one has the lowest E_form?
Answer: Ba2HgS3

Please write out number 1 again, unchanged.
Computed, not measured: a relaxed BaHgPb crystal at the r²SCAN level of DFT.

Output
* E_form: -0.595 eV/atom
* total moment: 0.0 μB/cell

CIF file:
```
data_BaHgPb
_cell_length_a 6.6938
_cell_length_b 6.6938
_cell_length_c 8.5852
_cell_angle_alpha 129.50
_cell_angle_beta 129.50
_cell_angle_gamma 46.98
_space_group_name_H-M_alt 'P 1'
_space_group_IT_number 1
loop_
_space_group_symop_operation_xyz
'x,y,z'
loop_
_atom_site_label
_atom_site_fract_x
_atom_site_fract_y
_atom_site_fract_z
Ba1 0.0426 0.0426 0.2970
Ba2 0.9574 0.9574 0.7030
Hg1 0.3394 0.3394 0.2910
Hg2 0.6606 0.6606 0.7090
Pb1 0.3376 0.3376 0.9070
Pb2 0.6624 0.6624 0.0930
```